1.
First-principles (PBE) data for an optimized crystal structure of Mo2N, as listed in Materials Project.

```
data_Mo2N
_chemical_formula_sum 'Mo2 N1'
_space_group_name_H-M_alt 'P 1'
_space_group_IT_number 1
_cell_length_a 5.275
_cell_length_b 5.275
_cell_length_c 5.275
_cell_angle_alpha 31.99
_cell_angle_beta 31.99
_cell_angle_gamma 31.99
loop_
_space_group_symop_operation_xyz
'x,y,z'
loop_
_atom_site_label
_atom_site_type_symbol
_atom_site_fract_x
_atom_site_fract_y
_atom_site_fract_z
Mo1 Mo 0.243 0.243 0.243
Mo2 Mo 0.757 0.757 0.757
N1 N 0.000 0.000 0.000
```

Results
- Calculated formation energy: -7.8 kcal/mol of atoms
- Energy above the most stable polymorph in this dataset: 21 meV/atom
- E (MP2020): -10.35 eV per atom

2.
First-principles (PBE) data for an optimized crystal structure of La2CuTe2O, as listed in Materials Project.

```
data_La2CuTe2O
_chemical_formula_sum 'La2 Cu1 Te2 O1'
_space_group_name_H-M_alt 'P 1'
_space_group_IT_number 1
_cell_length_a 3.672
_cell_length_b 3.672
_cell_length_c 15.395
_cell_angle_alpha 90.00
_cell_angle_beta 90.00
_cell_angle_gamma 90.00
loop_
_space_group_symop_operation_xyz
'x,y,z'
loop_
_atom_site_label
_atom_site_type_symbol
_atom_site_fract_x
_atom_site_fract_y
_atom_site_fract_z
La1 La 0.000 0.000 0.137
La2 La 0.000 0.000 0.863
Cu1 Cu 0.000 0.000 0.500
Te1 Te 0.000 0.000 0.342
Te2 Te 0.000 0.000 0.658
O1 O 0.000 0.000 0.000
```

Results
- Calculated formation energy: -16.0 kcal/mol of atoms
- E (MP2020): -4.90 eV per atom

3.
First-principles (PBE) data for an optimized crystal structure of Cu6Sn5, as listed in Materials Project.

```
data_Cu6Sn5
_chemical_formula_sum 'Cu12 Sn10'
_space_group_name_H-M_alt 'P 1'
_space_group_IT_number 1
_cell_length_a 6.676
_cell_length_b 6.676
_cell_length_c 9.860
_cell_angle_alpha 97.33
_cell_angle_beta 97.33
_cell_angle_gamma 67.64
loop_
_space_group_symop_operation_xyz
'x,y,z'
loop_
_atom_site_label
_atom_site_type_symbol
_atom_site_fract_x
_atom_site_fract_y
_atom_site_fract_z
Cu1 Cu 0.000 0.000 0.000
Cu2 Cu 0.000 0.000 0.500
Cu3 Cu 0.160 0.840 0.750
Cu4 Cu 0.189 0.198 0.890
Cu5 Cu 0.198 0.189 0.390
Cu6 Cu 0.371 0.426 0.798
Cu7 Cu 0.426 0.371 0.298
Cu8 Cu 0.574 0.629 0.702
Cu9 Cu 0.629 0.574 0.202
Cu10 Cu 0.802 0.811 0.610
Cu11 Cu 0.811 0.802 0.110
Cu12 Cu 0.840 0.160 0.250
Sn1 Sn 0.059 0.369 0.142
Sn2 Sn 0.200 0.800 0.250
Sn3 Sn 0.228 0.554 0.530
Sn4 Sn 0.369 0.059 0.642
Sn5 Sn 0.446 0.772 0.970
Sn6 Sn 0.554 0.228 0.030
Sn7 Sn 0.631 0.941 0.358
Sn8 Sn 0.772 0.446 0.470
Sn9 Sn 0.800 0.200 0.750
Sn10 Sn 0.941 0.631 0.858
```

Results
- Calculated formation energy: -0.3 kcal/mol of atoms

4.
First-principles (PBE) data for an optimized crystal structure of Rb3Cr, as listed in Materials Project.

```
data_Rb3Cr
_chemical_formula_sum 'Rb6 Cr2'
_space_group_name_H-M_alt 'P 1'
_space_group_IT_number 1
_cell_length_a 8.895
_cell_length_b 8.895
_cell_length_c 6.974
_cell_angle_alpha 90.00
_cell_angle_beta 90.00
_cell_angle_gamma 120.00
loop_
_space_group_symop_operation_xyz
'x,y,z'
loop_
_atom_site_label
_atom_site_type_symbol
_atom_site_fract_x
_atom_site_fract_y
_atom_site_fract_z
Rb1 Rb 0.177 0.354 0.250
Rb2 Rb 0.177 0.823 0.250
Rb3 Rb 0.354 0.177 0.750
Rb4 Rb 0.646 0.823 0.250
Rb5 Rb 0.823 0.177 0.750
Rb6 Rb 0.823 0.646 0.750
Cr1 Cr 0.333 0.667 0.750
Cr2 Cr 0.667 0.333 0.250
```

Results
- Calculated formation energy: 15.9 kcal/mol of atoms
- Energy above the most stable polymorph in this dataset: 0 meV/atom

5.
First-principles (PBE) data for an optimized crystal structure of HoCu2O4, as listed in Materials Project.

```
data_HoCu2O4
_chemical_formula_sum 'Ho2 Cu4 O8'
_space_group_name_H-M_alt 'P 1'
_space_group_IT_number 1
_cell_length_a 6.262
_cell_length_b 6.262
_cell_length_c 6.262
_cell_angle_alpha 126.12
_cell_angle_beta 126.12
_cell_angle_gamma 79.69
loop_
_space_group_symop_operation_xyz
'x,y,z'
loop_
_atom_site_label
_atom_site_type_symbol
_atom_site_fract_x
_atom_site_fract_y
_atom_site_fract_z
Ho1 Ho 0.375 0.125 0.250
Ho2 Ho 0.625 0.875 0.750
Cu1 Cu 0.000 0.000 0.500
Cu2 Cu 0.000 0.500 0.000
Cu3 Cu 0.000 0.500 0.500
Cu4 Cu 0.500 0.500 0.000
O1 O 0.029 0.134 0.308
O2 O 0.221 0.529 0.395
O3 O 0.326 0.721 0.192
O4 O 0.366 0.174 0.895
O5 O 0.634 0.826 0.105
O6 O 0.674 0.279 0.808
O7 O 0.779 0.471 0.605
O8 O 0.971 0.866 0.692
```

Results
- Calculated formation energy: -48.1 kcal/mol of atoms
- E (MP2020): -6.74 eV per atom

6.
First-principles (PBE) data for an optimized crystal structure of VCr2Si6, as listed in Materials Project.

```
data_VCr2Si6
_chemical_formula_sum 'V1 Cr2 Si6'
_space_group_name_H-M_alt 'P 1'
_space_group_IT_number 1
_cell_length_a 4.468
_cell_length_b 4.468
_cell_length_c 6.344
_cell_angle_alpha 90.00
_cell_angle_beta 90.00
_cell_angle_gamma 119.78
loop_
_space_group_symop_operation_xyz
'x,y,z'
loop_
_atom_site_label
_atom_site_type_symbol
_atom_site_fract_x
_atom_site_fract_y
_atom_site_fract_z
V1 V 0.000 0.000 0.000
Cr1 Cr 0.000 0.500 0.664
Cr2 Cr 0.500 0.000 0.336
Si1 Si 0.171 0.336 0.334
Si2 Si 0.335 0.665 0.000
Si3 Si 0.336 0.171 0.666
Si4 Si 0.664 0.829 0.666
Si5 Si 0.665 0.335 0.000
Si6 Si 0.829 0.664 0.334
```

Results
- Calculated formation energy: -7.9 kcal/mol of atoms
- E (MP2020): -7.12 eV per atom

7.
First-principles (PBE) data for an optimized crystal structure of Sn3Te3Ir2, as listed in Materials Project.

```
data_Sn3Te3Ir2
_chemical_formula_sum 'Sn12 Te12 Ir8'
_space_group_name_H-M_alt 'P 1'
_space_group_IT_number 1
_cell_length_a 9.476
_cell_length_b 9.476
_cell_length_c 9.476
_cell_angle_alpha 89.93
_cell_angle_beta 89.93
_cell_angle_gamma 89.93
loop_
_space_group_symop_operation_xyz
'x,y,z'
loop_
_atom_site_label
_atom_site_type_symbol
_atom_site_fract_x
_atom_site_fract_y
_atom_site_fract_z
Sn1 Sn 0.000 0.326 0.839
Sn2 Sn 0.000 0.674 0.161
Sn3 Sn 0.161 0.000 0.674
Sn4 Sn 0.175 0.340 0.501
Sn5 Sn 0.326 0.839 0.000
Sn6 Sn 0.340 0.501 0.175
Sn7 Sn 0.499 0.825 0.660
Sn8 Sn 0.501 0.175 0.340
Sn9 Sn 0.660 0.499 0.825
Sn10 Sn 0.674 0.161 0.000
Sn11 Sn 0.825 0.660 0.499
Sn12 Sn 0.839 0.000 0.326
Te1 Te 0.002 0.345 0.150
Te2 Te 0.150 0.002 0.345
Te3 Te 0.155 0.651 0.500
Te4 Te 0.345 0.150 0.002
Te5 Te 0.349 0.500 0.845
Te6 Te 0.500 0.155 0.651
Te7 Te 0.500 0.845 0.349
Te8 Te 0.651 0.500 0.155
Te9 Te 0.655 0.850 0.998
Te10 Te 0.845 0.349 0.500
Te11 Te 0.850 0.998 0.655
Te12 Te 0.998 0.655 0.850
Ir1 Ir 0.248 0.748 0.748
Ir2 Ir 0.249 0.249 0.249
Ir3 Ir 0.252 0.252 0.752
Ir4 Ir 0.252 0.752 0.252
Ir5 Ir 0.748 0.248 0.748
Ir6 Ir 0.748 0.748 0.248
Ir7 Ir 0.751 0.751 0.751
Ir8 Ir 0.752 0.252 0.252
```

Results
- Calculated formation energy: -9.4 kcal/mol of atoms

8.
First-principles (PBE) data for an optimized crystal structure of MgAlIr2, as listed in Materials Project.

```
data_MgAlIr2
_chemical_formula_sum 'Mg1 Al1 Ir2'
_space_group_name_H-M_alt 'P 1'
_space_group_IT_number 1
_cell_length_a 4.322
_cell_length_b 4.322
_cell_length_c 4.322
_cell_angle_alpha 60.00
_cell_angle_beta 60.00
_cell_angle_gamma 60.00
loop_
_space_group_symop_operation_xyz
'x,y,z'
loop_
_atom_site_label
_atom_site_type_symbol
_atom_site_fract_x
_atom_site_fract_y
_atom_site_fract_z
Mg1 Mg 0.000 0.000 0.000
Al1 Al 0.500 0.500 0.500
Ir1 Ir 0.250 0.250 0.250
Ir2 Ir 0.750 0.750 0.750
```

Results
- Calculated formation energy: -16.2 kcal/mol of atoms

9.
First-principles (PBE) data for an optimized crystal structure of HoCdAu, as listed in Materials Project.

```
data_HoCdAu
_chemical_formula_sum 'Ho3 Cd3 Au3'
_space_group_name_H-M_alt 'P 1'
_space_group_IT_number 1
_cell_length_a 7.905
_cell_length_b 7.905
_cell_length_c 3.805
_cell_angle_alpha 90.00
_cell_angle_beta 90.00
_cell_angle_gamma 120.00
loop_
_space_group_symop_operation_xyz
'x,y,z'
loop_
_atom_site_label
_atom_site_type_symbol
_atom_site_fract_x
_atom_site_fract_y
_atom_site_fract_z
Ho1 Ho 0.000 0.595 0.000
Ho2 Ho 0.405 0.405 0.000
Ho3 Ho 0.595 0.000 0.000
Cd1 Cd 0.000 0.266 0.500
Cd2 Cd 0.266 0.000 0.500
Cd3 Cd 0.734 0.734 0.500
Au1 Au 0.000 0.000 0.000
Au2 Au 0.333 0.667 0.500
Au3 Au 0.667 0.333 0.500
```

Results
- Calculated formation energy: -14.9 kcal/mol of atoms

10.
First-principles (PBE) data for an optimized crystal structure of SrCaDy4Be2O10, as listed in Materials Project.

```
data_SrCaDy4Be2O10
_chemical_formula_sum 'Sr2 Ca2 Dy8 Be4 O20'
_space_group_name_H-M_alt 'P 1'
_space_group_IT_number 1
_cell_length_a 6.400
_cell_length_b 7.037
_cell_length_c 9.358
_cell_angle_alpha 90.00
_cell_angle_beta 90.30
_cell_angle_gamma 90.00
loop_
_space_group_symop_operation_xyz
'x,y,z'
loop_
_atom_site_label
_atom_site_type_symbol
_atom_site_fract_x
_atom_site_fract_y
_atom_site_fract_z
Sr1 Sr 0.082 0.000 0.325
Sr2 Sr 0.918 0.500 0.675
Ca1 Ca 0.416 0.997 0.823
Ca2 Ca 0.584 0.497 0.177
Dy1 Dy 0.072 0.458 0.321
Dy2 Dy 0.097 0.735 0.020
Dy3 Dy 0.405 0.732 0.522
Dy4 Dy 0.433 0.447 0.829
Dy5 Dy 0.567 0.947 0.171
Dy6 Dy 0.595 0.232 0.478
Dy7 Dy 0.903 0.235 0.980
Dy8 Dy 0.928 0.958 0.679
Be1 Be 0.197 0.230 0.604
Be2 Be 0.310 0.234 0.100
Be3 Be 0.690 0.734 0.900
Be4 Be 0.803 0.730 0.396
O1 O 0.023 0.730 0.489
O2 O 0.139 0.224 0.781
O3 O 0.162 0.744 0.782
O4 O 0.180 0.427 0.069
O5 O 0.200 0.033 0.069
O6 O 0.310 0.033 0.570
O7 O 0.324 0.425 0.578
O8 O 0.340 0.724 0.277
O9 O 0.370 0.239 0.277
O10 O 0.476 0.732 0.993
O11 O 0.524 0.232 0.007
O12 O 0.630 0.739 0.723
O13 O 0.660 0.224 0.723
O14 O 0.676 0.925 0.422
O15 O 0.690 0.533 0.430
O16 O 0.800 0.533 0.931
O17 O 0.820 0.927 0.931
O18 O 0.838 0.244 0.218
O19 O 0.861 0.724 0.219
O20 O 0.977 0.230 0.511
```

Results
- Calculated formation energy: -82.3 kcal/mol of atoms
- E (MP2020): -7.96 eV per atom

11.
First-principles (PBE) data for an optimized crystal structure of Tm2Ga10Os3, as listed in Materials Project.

```
data_Tm2Ga10Os3
_chemical_formula_sum 'Tm4 Ga20 Os6'
_space_group_name_H-M_alt 'P 1'
_space_group_IT_number 1
_cell_length_a 8.910
_cell_length_b 8.910
_cell_length_c 6.385
_cell_angle_alpha 90.00
_cell_angle_beta 90.00
_cell_angle_gamma 90.00
loop_
_space_group_symop_operation_xyz
'x,y,z'
loop_
_atom_site_label
_atom_site_type_symbol
_atom_site_fract_x
_atom_site_fract_y
_atom_site_fract_z
Tm1 Tm 0.183 0.317 0.000
Tm2 Tm 0.317 0.817 0.000
Tm3 Tm 0.683 0.183 0.000
Tm4 Tm 0.817 0.683 0.000
Ga1 Ga 0.000 0.500 0.282
Ga2 Ga 0.000 0.500 0.718
Ga3 Ga 0.061 0.793 0.292
Ga4 Ga 0.061 0.793 0.708
Ga5 Ga 0.207 0.061 0.292
Ga6 Ga 0.207 0.061 0.708
Ga7 Ga 0.293 0.561 0.292
Ga8 Ga 0.293 0.561 0.708
Ga9 Ga 0.439 0.293 0.292
Ga10 Ga 0.439 0.293 0.708
Ga11 Ga 0.500 0.000 0.282
Ga12 Ga 0.500 0.000 0.718
Ga13 Ga 0.561 0.707 0.292
Ga14 Ga 0.561 0.707 0.708
Ga15 Ga 0.707 0.439 0.292
Ga16 Ga 0.707 0.439 0.708
Ga17 Ga 0.793 0.939 0.292
Ga18 Ga 0.793 0.939 0.708
Ga19 Ga 0.939 0.207 0.292
Ga20 Ga 0.939 0.207 0.708
Os1 Os 0.000 0.000 0.000
Os2 Os 0.179 0.321 0.500
Os3 Os 0.321 0.821 0.500
Os4 Os 0.500 0.500 0.000
Os5 Os 0.679 0.179 0.500
Os6 Os 0.821 0.679 0.500
```

Results
- Calculated formation energy: -9.5 kcal/mol of atoms

12.
First-principles (PBE) data for an optimized crystal structure of HfMg6TiO8, as listed in Materials Project.

```
data_HfMg6TiO8
_chemical_formula_sum 'Hf1 Mg6 Ti1 O8'
_space_group_name_H-M_alt 'P 1'
_space_group_IT_number 1
_cell_length_a 4.304
_cell_length_b 4.304
_cell_length_c 8.830
_cell_angle_alpha 90.00
_cell_angle_beta 90.00
_cell_angle_gamma 90.00
loop_
_space_group_symop_operation_xyz
'x,y,z'
loop_
_atom_site_label
_atom_site_type_symbol
_atom_site_fract_x
_atom_site_fract_y
_atom_site_fract_z
Hf1 Hf 0.000 0.000 0.000
Mg1 Mg 0.000 0.000 0.500
Mg2 Mg 0.000 0.500 0.257
Mg3 Mg 0.000 0.500 0.743
Mg4 Mg 0.500 0.000 0.257
Mg5 Mg 0.500 0.000 0.743
Mg6 Mg 0.500 0.500 0.500
Ti1 Ti 0.500 0.500 0.000
O1 O 0.000 0.000 0.257
O2 O 0.000 0.000 0.743
O3 O 0.000 0.500 0.000
O4 O 0.000 0.500 0.500
O5 O 0.500 0.000 0.000
O6 O 0.500 0.000 0.500
O7 O 0.500 0.500 0.260
O8 O 0.500 0.500 0.740
```

Results
- Calculated formation energy: -64.8 kcal/mol of atoms
- Energy above the most stable polymorph in this dataset: 0 meV/atom
- E (MP2020): -7.00 eV per atom

Look up the calculated formation energy of the third one.
-0.3 kcal/mol of atoms